Record 1
{
  "formula": "MgMn2Co2O8",
  "functional": "PBE with a Hubbard U",
  "state": "optimized geometry",
  "energy_corrected_mp2020_ev_per_atom": -7.354,
  "total_magnetization_mub_per_cell": 9.992,
  "energy_ev_per_cell": -83.49,
  "cell": [[-3.113, 1.571, 4.816], [-3.031, 4.963, -0.038], [-2.961, -1.578, -4.718]],
  "species": ["O", "O", "O", "O", "O", "O", "O", "O", "Mn", "Mn", "Co", "Co", "Mg"],
  "fractional_positions": [[0.949, 0.742, 0.211], [0.559, 0.709, 0.787], [0.025, 0.271, 0.270], [0.453, 0.270, 0.748], [0.547, 0.730, 0.252], [0.051, 0.258, 0.789], [0.975, 0.729, 0.730], [0.441, 0.291, 0.213], [0.500, 0.500, 0.000], [0.000, 0.500, 0.500], [0.500, 0.000, 0.000], [0.000, 0.500, 0.000], [0.500, 0.000, 0.500]]
}

Record 2
{
  "formula": "LaMgCrWO6",
  "functional": "PBE with a Hubbard U",
  "state": "optimized geometry",
  "energy_corrected_mp2020_ev_per_atom": -8.603,
  "total_magnetization_mub_per_cell": 10.000,
  "energy_ev_per_cell": -150.94,
  "cell": [[5.653, 0.000, 0.000], [0.000, 5.456, 0.000], [0.000, 5.294, 7.819]],
  "species": ["O", "O", "O", "O", "O", "O", "O", "O", "O", "O", "O", "O", "W", "W", "Mg", "Mg", "La", "La", "Cr", "Cr"],
  "fractional_positions": [[0.558, 0.253, 0.061], [0.976, 0.143, 0.565], [0.443, 0.887, 0.934], [0.276, 0.615, 0.749], [0.802, 0.339, 0.752], [0.035, 0.771, 0.444], [0.965, 0.771, 0.944], [0.198, 0.339, 0.252], [0.557, 0.887, 0.434], [0.024, 0.143, 0.065], [0.724, 0.615, 0.249], [0.442, 0.253, 0.561], [0.247, 0.501, 0.998], [0.753, 0.501, 0.498], [0.802, 0.224, 0.250], [0.198, 0.224, 0.750], [0.708, 0.767, 0.746], [0.292, 0.767, 0.246], [0.250, 0.000, 0.501], [0.750, 0.000, 0.001]]
}

Record 3
{
  "formula": "Li5Ti2Ni3O10",
  "functional": "PBE with a Hubbard U",
  "state": "optimized geometry",
  "energy_corrected_mp2020_ev_per_atom": -6.925,
  "total_magnetization_mub_per_cell": 5.000,
  "energy_ev_per_cell": -124.02,
  "cell": [[5.099, 0.139, 0.108], [-1.091, 5.017, -0.163], [-1.576, -2.685, 7.077]],
  "species": ["O", "O", "O", "O", "O", "O", "O", "O", "O", "O", "Li", "Li", "Li", "Li", "Li", "Ni", "Ni", "Ni", "Ti", "Ti"],
  "fractional_positions": [[0.135, 0.321, 0.541], [0.050, 0.082, 0.844], [0.865, 0.679, 0.459], [0.221, 0.488, 0.230], [0.562, 0.111, 0.342], [0.675, 0.304, 0.058], [0.779, 0.512, 0.770], [0.325, 0.696, 0.942], [0.950, 0.918, 0.156], [0.438, 0.889, 0.658], [0.410, 0.302, 0.798], [0.784, 0.099, 0.604], [0.590, 0.698, 0.202], [0.216, 0.901, 0.396], [0.500, 0.500, 0.500], [0.302, 0.107, 0.100], [0.698, 0.893, 0.900], [0.000, 0.500, 0.000], [0.894, 0.283, 0.307], [0.106, 0.717, 0.693]]
}

Record 4
{
  "formula": "CaLa3Mn4O10",
  "functional": "PBE with a Hubbard U",
  "state": "optimized geometry",
  "energy_corrected_mp2020_ev_per_atom": -8.612,
  "total_magnetization_mub_per_cell": 38.001,
  "energy_ev_per_cell": -282.94,
  "cell": [[-2.062, 3.213, 4.126], [3.378, -2.722, 3.808], [14.892, 8.170, 1.078]],
  "species": ["O", "O", "O", "O", "O", "O", "O", "O", "O", "O", "O", "O", "O", "O", "O", "O", "O", "O", "O", "O", "La", "La", "La", "La", "La", "La", "Ca", "Ca", "Mn", "Mn", "Mn", "Mn", "Mn", "Mn", "Mn", "Mn"],
  "fractional_positions": [[0.962, 0.756, 0.016], [0.703, 0.951, 0.636], [0.977, 0.309, 0.480], [0.322, 0.353, 0.248], [0.215, 0.057, 0.864], [0.475, 0.689, 0.020], [0.785, 0.057, 0.364], [0.709, 0.729, 0.859], [0.200, 0.270, 0.639], [0.823, 0.646, 0.251], [0.291, 0.729, 0.359], [0.023, 0.309, 0.980], [0.525, 0.689, 0.520], [0.177, 0.646, 0.751], [0.297, 0.951, 0.136], [0.800, 0.270, 0.139], [0.461, 0.251, 0.478], [0.539, 0.251, 0.978], [0.038, 0.756, 0.516], [0.678, 0.353, 0.748], [0.722, 0.628, 0.392], [0.780, 0.099, 0.884], [0.282, 0.905, 0.615], [0.718, 0.905, 0.115], [0.220, 0.099, 0.384], [0.278, 0.628, 0.892], [0.787, 0.362, 0.614], [0.213, 0.362, 0.114], [0.798, 0.699, 0.746], [0.303, 0.302, 0.749], [0.697, 0.302, 0.249], [0.751, 0.497, 0.004], [0.249, 0.497, 0.504], [0.202, 0.699, 0.246], [0.249, 0.999, 0.004], [0.751, 0.999, 0.504]]
}

Record 5
{
  "formula": "VInCuO5",
  "functional": "PBE with a Hubbard U",
  "state": "optimized geometry",
  "energy_corrected_mp2020_ev_per_atom": -6.955,
  "total_magnetization_mub_per_cell": 8.000,
  "energy_ev_per_cell": -404.07,
  "cell": [[6.245, 0.000, 0.000], [0.000, 8.923, 0.000], [0.000, 4.447, 14.836]],
  "species": ["O", "O", "O", "O", "O", "O", "O", "O", "O", "O", "O", "O", "O", "O", "O", "O", "O", "O", "O", "O", "O", "O", "O", "O", "O", "O", "O", "O", "O", "O", "O", "O", "O", "O", "O", "O", "O", "O", "O", "O", "In", "In", "In", "In", "In", "In", "In", "In", "Cu", "Cu", "Cu", "Cu", "Cu", "Cu", "Cu", "Cu", "V", "V", "V", "V", "V", "V", "V", "V"],
  "fractional_positions": [[0.383, 0.149, 0.939], [0.425, 0.972, 0.349], [0.344, 0.862, 0.550], [0.156, 0.862, 0.050], [0.909, 0.448, 0.366], [0.872, 0.720, 0.752], [0.409, 0.552, 0.134], [0.123, 0.056, 0.643], [0.364, 0.420, 0.359], [0.617, 0.851, 0.061], [0.394, 0.371, 0.566], [0.372, 0.280, 0.748], [0.575, 0.028, 0.651], [0.623, 0.944, 0.857], [0.844, 0.138, 0.950], [0.847, 0.236, 0.752], [0.377, 0.056, 0.143], [0.883, 0.851, 0.561], [0.106, 0.371, 0.066], [0.656, 0.138, 0.450], [0.830, 0.288, 0.571], [0.628, 0.720, 0.252], [0.128, 0.280, 0.248], [0.925, 0.028, 0.151], [0.091, 0.552, 0.634], [0.606, 0.629, 0.434], [0.877, 0.944, 0.357], [0.864, 0.580, 0.141], [0.075, 0.972, 0.849], [0.670, 0.288, 0.071], [0.636, 0.580, 0.641], [0.330, 0.712, 0.929], [0.136, 0.420, 0.859], [0.591, 0.448, 0.866], [0.153, 0.764, 0.248], [0.117, 0.149, 0.439], [0.653, 0.236, 0.252], [0.170, 0.712, 0.429], [0.894, 0.629, 0.934], [0.347, 0.764, 0.748], [0.111, 0.297, 0.652], [0.622, 0.376, 0.455], [0.611, 0.703, 0.848], [0.378, 0.624, 0.545], [0.389, 0.297, 0.152], [0.889, 0.703, 0.348], [0.122, 0.624, 0.045], [0.878, 0.376, 0.955], [0.357, 0.931, 0.936], [0.857, 0.069, 0.564], [0.889, 0.289, 0.164], [0.643, 0.069, 0.064], [0.111, 0.711, 0.836], [0.143, 0.931, 0.436], [0.389, 0.711, 0.336], [0.611, 0.289, 0.664], [0.153, 0.930, 0.148], [0.372, 0.323, 0.854], [0.847, 0.070, 0.852], [0.628, 0.677, 0.146], [0.653, 0.070, 0.352], [0.347, 0.930, 0.648], [0.128, 0.323, 0.354], [0.872, 0.677, 0.646]]
}

Record 6
{
  "formula": "MgAl4Cr2O10",
  "functional": "PBE with a Hubbard U",
  "state": "optimized geometry",
  "energy_corrected_mp2020_ev_per_atom": -7.953,
  "total_magnetization_mub_per_cell": 6.002,
  "energy_ev_per_cell": -124.33,
  "cell": [[3.703, 0.000, 0.000], [-1.852, 4.868, 0.000], [0.000, 0.000, 9.612]],
  "species": ["O", "O", "O", "O", "O", "O", "O", "O", "O", "O", "Al", "Al", "Al", "Al", "Cr", "Cr", "Mg"],
  "fractional_positions": [[0.345, 0.690, 0.096], [0.944, 0.887, 0.613], [0.687, 0.373, 0.557], [0.749, 0.497, 0.250], [0.345, 0.690, 0.404], [0.050, 0.099, 0.382], [0.687, 0.373, 0.943], [0.216, 0.432, 0.750], [0.944, 0.887, 0.887], [0.050, 0.099, 0.118], [0.120, 0.240, 0.930], [0.120, 0.240, 0.570], [0.856, 0.711, 0.448], [0.856, 0.711, 0.052], [0.208, 0.415, 0.250], [0.799, 0.596, 0.750], [0.506, 0.011, 0.250]]
}

Record 7
{
  "formula": "LiMn5O8",
  "functional": "PBE with a Hubbard U",
  "state": "optimized geometry",
  "energy_corrected_mp2020_ev_per_atom": -8.257,
  "energy_ev_per_cell": -407.05,
  "cell": [[-8.105, -1.768, -1.958], [2.570, -3.863, -7.150], [0.596, -7.389, 4.206]],
  "species": ["O", "O", "O", "O", "O", "O", "O", "O", "O", "O", "O", "O", "O", "O", "O", "O", "O", "O", "O", "O", "O", "O", "O", "O", "O", "O", "O", "O", "O", "O", "O", "O", "Mn", "Mn", "Mn", "Mn", "Mn", "Mn", "Mn", "Mn", "Mn", "Mn", "Mn", "Mn", "Mn", "Mn", "Mn", "Mn", "Mn", "Mn", "Mn", "Mn", "Li", "Li", "Li", "Li"],
  "fractional_positions": [[0.891, 0.605, 0.626], [0.624, 0.645, 0.359], [0.605, 0.626, 0.891], [0.141, 0.376, 0.145], [0.859, 0.876, 0.355], [0.145, 0.141, 0.376], [0.641, 0.124, 0.855], [0.609, 0.395, 0.126], [0.124, 0.855, 0.641], [0.612, 0.112, 0.388], [0.105, 0.874, 0.109], [0.855, 0.641, 0.124], [0.638, 0.862, 0.138], [0.888, 0.888, 0.888], [0.626, 0.891, 0.605], [0.138, 0.638, 0.862], [0.355, 0.859, 0.876], [0.126, 0.609, 0.395], [0.876, 0.355, 0.859], [0.109, 0.105, 0.874], [0.359, 0.624, 0.645], [0.388, 0.612, 0.112], [0.362, 0.362, 0.362], [0.391, 0.895, 0.374], [0.395, 0.126, 0.609], [0.895, 0.374, 0.391], [0.645, 0.359, 0.624], [0.862, 0.138, 0.638], [0.112, 0.388, 0.612], [0.374, 0.391, 0.895], [0.376, 0.145, 0.141], [0.874, 0.109, 0.105], [0.499, 0.001, 0.999], [0.873, 0.377, 0.625], [0.627, 0.623, 0.125], [0.623, 0.125, 0.627], [0.751, 0.251, 0.249], [0.999, 0.499, 0.001], [0.377, 0.625, 0.873], [0.123, 0.375, 0.373], [0.251, 0.249, 0.751], [0.375, 0.373, 0.123], [0.127, 0.877, 0.875], [0.749, 0.749, 0.749], [0.373, 0.123, 0.375], [0.875, 0.127, 0.877], [0.249, 0.751, 0.251], [0.501, 0.501, 0.501], [0.001, 0.999, 0.499], [0.877, 0.875, 0.127], [0.625, 0.873, 0.377], [0.125, 0.627, 0.623], [0.875, 0.625, 0.375], [0.625, 0.375, 0.875], [0.125, 0.125, 0.125], [0.375, 0.875, 0.625]]
}

Record 8
{
  "formula": "MgVCuO3",
  "functional": "PBE with a Hubbard U",
  "state": "optimized geometry",
  "energy_corrected_mp2020_ev_per_atom": -6.950,
  "total_magnetization_mub_per_cell": 2.000,
  "energy_ev_per_cell": -37.94,
  "cell": [[-3.436, -2.443, -3.490], [-5.226, -3.370, -1.093], [-6.228, 2.337, -1.649]],
  "species": ["O", "O", "O", "Cu", "V", "Mg"],
  "fractional_positions": [[0.883, 0.771, 0.813], [0.367, 0.054, 0.240], [0.402, 0.660, 0.036], [0.136, 0.906, 0.537], [0.064, 0.631, 0.087], [0.141, 0.202, 0.951]]
}

Record 9
{
  "formula": "NiAgF3",
  "functional": "PBE with a Hubbard U",
  "state": "optimized geometry",
  "energy_corrected_mp2020_ev_per_atom": -4.703,
  "total_magnetization_mub_per_cell": 2.004,
  "energy_ev_per_cell": -19.59,
  "cell": [[4.004, 0.000, 0.000], [0.000, 4.004, 0.000], [0.000, 0.000, 4.004]],
  "species": ["Ag", "F", "F", "F", "Ni"],
  "fractional_positions": [[0.500, 0.500, 0.500], [0.000, 0.000, 0.500], [0.000, 0.500, 0.000], [0.500, 0.000, 0.000], [0.000, 0.000, 0.000]]
}

Record 10
{
  "formula": "Li5MnO4",
  "functional": "PBE with a Hubbard U",
  "state": "optimized geometry",
  "energy_corrected_mp2020_ev_per_atom": -5.886,
  "total_magnetization_mub_per_cell": 7.999,
  "energy_ev_per_cell": -108.88,
  "cell": [[-3.786, 5.556, 0.615], [-3.883, -3.126, 4.345], [2.647, 1.428, 3.393]],
  "species": ["Li", "Li", "Li", "Li", "Li", "Li", "Li", "Li", "Li", "Li", "O", "O", "O", "O", "O", "O", "O", "O", "Mn", "Mn"],
  "fractional_positions": [[0.250, 0.750, 0.196], [0.552, 0.991, 0.252], [0.052, 0.491, 0.748], [0.948, 0.991, 0.252], [0.448, 0.491, 0.748], [0.448, 0.009, 0.748], [0.552, 0.509, 0.252], [0.948, 0.509, 0.252], [0.750, 0.250, 0.804], [0.052, 0.009, 0.748], [0.750, 0.004, 0.575], [0.750, 0.496, 0.575], [0.250, 0.504, 0.425], [0.499, 0.250, 0.030], [0.001, 0.250, 0.030], [0.250, 0.996, 0.425], [0.999, 0.750, 0.970], [0.501, 0.750, 0.970], [0.250, 0.250, 0.233], [0.750, 0.750, 0.767]]
}

Record 11
{
  "formula": "Sr2FeP3O12",
  "functional": "PBE with a Hubbard U",
  "state": "optimized geometry",
  "energy_corrected_mp2020_ev_per_atom": -7.526,
  "total_magnetization_mub_per_cell": 6.000,
  "energy_ev_per_cell": -249.95,
  "cell": [[-2.471, 6.881, -3.614], [-0.770, 3.187, 7.468], [8.495, -2.413, -2.109]],
  "species": ["Sr", "Sr", "Sr", "Sr", "O", "O", "O", "O", "O", "O", "O", "O", "O", "O", "O", "O", "O", "O", "O", "O", "O", "O", "O", "O", "O", "O", "O", "O", "P", "P", "P", "P", "P", "P", "Fe", "Fe"],
  "fractional_positions": [[0.665, 0.746, 0.301], [0.254, 0.335, 0.199], [0.746, 0.665, 0.801], [0.335, 0.254, 0.699], [0.765, 0.971, 0.100], [0.681, 0.501, 0.970], [0.917, 0.304, 0.024], [0.501, 0.681, 0.470], [0.887, 0.972, 0.820], [0.194, 0.533, 0.744], [0.199, 0.580, 0.449], [0.801, 0.420, 0.551], [0.235, 0.029, 0.900], [0.083, 0.696, 0.976], [0.113, 0.028, 0.180], [0.467, 0.806, 0.756], [0.304, 0.917, 0.524], [0.420, 0.801, 0.051], [0.806, 0.467, 0.256], [0.696, 0.083, 0.476], [0.580, 0.199, 0.949], [0.533, 0.194, 0.244], [0.972, 0.887, 0.320], [0.971, 0.765, 0.600], [0.499, 0.319, 0.530], [0.028, 0.113, 0.680], [0.029, 0.235, 0.400], [0.319, 0.499, 0.030], [0.751, 0.367, 0.049], [0.633, 0.249, 0.451], [0.969, 0.031, 0.250], [0.249, 0.633, 0.951], [0.367, 0.751, 0.549], [0.031, 0.969, 0.750], [0.000, 0.500, 0.500], [0.500, 0.000, 0.000]]
}

Record 12
{
  "formula": "Li5FeO4",
  "functional": "PBE with a Hubbard U",
  "state": "optimized geometry",
  "energy_corrected_mp2020_ev_per_atom": -5.753,
  "total_magnetization_mub_per_cell": 19.999,
  "energy_ev_per_cell": -210.12,
  "cell": [[6.935, 0.000, 0.000], [0.000, 7.069, 0.000], [0.000, 0.000, 8.116]],
  "species": ["Li", "Li", "Li", "Li", "Li", "Li", "Li", "Li", "Li", "Li", "Li", "Li", "Li", "Li", "Li", "Li", "Li", "Li", "Li", "Li", "O", "O", "O", "O", "O", "O", "O", "O", "O", "O", "O", "O", "O", "O", "O", "O", "Fe", "Fe", "Fe", "Fe"],
  "fractional_positions": [[0.500, 0.246, 0.247], [0.246, 0.514, 0.653], [0.000, 0.746, 0.253], [0.500, 0.754, 0.753], [0.775, 0.000, 0.500], [0.254, 0.014, 0.847], [0.746, 0.014, 0.847], [0.500, 0.240, 0.923], [0.754, 0.514, 0.653], [0.500, 0.760, 0.077], [0.275, 0.500, 0.000], [0.225, 0.000, 0.500], [0.725, 0.500, 0.000], [0.754, 0.486, 0.347], [0.000, 0.740, 0.577], [0.246, 0.486, 0.347], [0.000, 0.260, 0.423], [0.746, 0.986, 0.153], [0.254, 0.986, 0.153], [0.000, 0.254, 0.747], [0.500, 0.530, 0.226], [0.258, 0.279, 0.511], [0.500, 0.470, 0.774], [0.742, 0.279, 0.511], [0.000, 0.030, 0.274], [0.258, 0.721, 0.489], [0.000, 0.470, 0.239], [0.500, 0.970, 0.261], [0.758, 0.221, 0.011], [0.500, 0.030, 0.739], [0.758, 0.779, 0.989], [0.000, 0.530, 0.761], [0.000, 0.970, 0.726], [0.242, 0.779, 0.989], [0.742, 0.721, 0.489], [0.242, 0.221, 0.011], [0.000, 0.758, 0.883], [0.500, 0.258, 0.617], [0.000, 0.242, 0.117], [0.500, 0.742, 0.383]]
}

no.,E_form (kJ per mole of atoms)
1,-162.4
2,-262.4
3,-223.6
4,-279.1
5,-180.5
6,-282.8
7,-195.0
8,-194.2
9,-176.7
10,-196.4
11,-257.3
12,-190.3